VASP calculation (GGA-PBE) on Mg6MnCo after structural relaxation.

Output
- formation energy (eV per formula unit) = 1.6
- E above lowest polymorph (meV per atom) = 14.8
- calculated total energy (eV/atom) = -3.040
- magnetic moment (μB/cell) = 9.423

Cell: 4.8020 6.0108 10.4650 Å, 90.00 90.00 90.00°
Closest atoms and distances in Å follow each position.
Sites, in units of the cell vectors:
Mg 0.5000 0.2493 0.4172  8 Mg 2.98-3.01, 2 Co 3.01-3.02, 2 Mn 3.02
Mg 0.5000 0.7507 0.4172  8 Mg 2.98-3.01, 2 Co 3.01-3.02, 2 Mn 3.02
Mg 0.0000 0.7443 0.0896  8 Mg 2.86-3.18, 2 Co 2.93, 2 Mn 2.96
Mg 0.0000 0.2557 0.0896  8 Mg 2.86-3.18, 2 Co 2.93, 2 Mn 2.96
Mg 0.0000 0.0000 0.3276  10 Mg 2.93-3.11, 2 Mn 2.93
Mg 0.0000 0.5000 0.3240  10 Mg 2.86-3.18, 2 Co 2.90
Mg 0.5000 0.7493 0.9172  8 Mg 2.98-3.01, 2 Co 3.01-3.02, 2 Mn 3.02
Mg 0.5000 0.2507 0.9172  8 Mg 2.98-3.01, 2 Co 3.01-3.02, 2 Mn 3.02
Mg 0.0000 0.2443 0.5896  8 Mg 2.86-3.18, 2 Co 2.93, 2 Mn 2.96
Mg 0.0000 0.7557 0.5896  8 Mg 2.86-3.18, 2 Co 2.93, 2 Mn 2.96
Mg 0.0000 0.5000 0.8276  10 Mg 2.93-3.11, 2 Mn 2.93
Mg 0.0000 0.0000 0.8240  10 Mg 2.86-3.18, 2 Co 2.90
Mn 0.5000 0.0000 0.1667  10 Mg 2.93-3.02, 2 Co 3.01
Mn 0.5000 0.5000 0.6667  10 Mg 2.93-3.02, 2 Co 3.01
Co 0.5000 0.5000 0.1682  10 Mg 2.90-3.02, 2 Mn 3.01
Co 0.5000 0.0000 0.6682  10 Mg 2.90-3.02, 2 Mn 3.01



VASP calculation (GGA-PBE) on CeMgTi2O6 after structural relaxation.

Output
- formation energy (eV per formula unit) = -33.8
- E above lowest polymorph (meV per atom) = 0.0
- calculated total energy (eV/atom) = -8.264
- magnetic moment (μB/cell) = 0.858

Cell: 4.0387 5.2519 6.9744 Å, 69.47 73.18 67.38°
Closest atoms and distances in Å follow each position.
Sites, in units of the cell vectors:
Ce 0.9644 0.5799 0.4908  4 O 2.24-2.37
Mg 0.5238 0.1630 0.7888  5 O 2.02-2.15
Ti 0.7974 0.2914 0.1135  2 O 1.81-2.00
Ti 0.1795 0.7169 0.9235  6 O 1.94-2.11
O 0.9843 0.8657 0.1655  2 Ti 1.94-2.00
O 0.0337 0.1593 0.7729  2 Mg 2.02, 1 Ti 2.11
O 0.6598 0.2963 0.3836  1 Ti 1.81
O 0.3643 0.6185 0.6526  1 Ti 1.99, 1 Mg 2.15
O 0.3224 0.2920 0.0628  3 Ti 2.02-2.05, 1 Mg 2.09
O 0.6883 0.7169 0.9060  3 Ti 2.02-2.15, 1 Mg 2.09



VASP calculation (GGA-PBE) on Cs3Sm2N9 after structural relaxation.

Output
- formation energy (eV per formula unit) = 19.0
- calculated total energy (eV/atom) = -4.638
- magnetic moment (μB/cell) = 36.001

Cell: 8.9613 8.9613 8.9613 Å, 90.79 90.79 90.79°
Closest atoms and distances in Å follow each position.
Sites, in units of the cell vectors:
Cs 0.9185 0.5815 0.2500  4 N 3.23-3.28
Cs 0.2500 0.9185 0.5815  4 N 3.23-3.28
Cs 0.5815 0.2500 0.9185  4 N 3.23-3.28
Cs 0.7500 0.0815 0.4185  4 N 3.23-3.28
Cs 0.4185 0.7500 0.0815  4 N 3.23-3.28
Cs 0.0815 0.4185 0.7500  4 N 3.23-3.28
Sm 0.3606 0.3606 0.3606  6 N 2.38-2.40
Sm 0.8606 0.8606 0.8606  6 N 2.38-2.40
Sm 0.6394 0.6394 0.6394  6 N 2.38-2.40
Sm 0.1394 0.1394 0.1394  6 N 2.38-2.40
N 0.3806 0.1194 0.2500  2 Sm 2.38
N 0.2500 0.3806 0.1194  2 Sm 2.38
N 0.1194 0.2500 0.3806  2 Sm 2.38
N 0.7500 0.6194 0.8806  2 Sm 2.38
N 0.8806 0.7500 0.6194  2 Sm 2.38
N 0.6194 0.8806 0.7500  2 Sm 2.38
N 0.7422 0.9245 0.0916  1 Sm 2.40
N 0.0916 0.7422 0.9245  1 Sm 2.40
N 0.9245 0.0916 0.7422  1 Sm 2.40
N 0.5916 0.4245 0.2422  1 Sm 2.40
N 0.2422 0.5916 0.4245  1 Sm 2.40
N 0.4245 0.2422 0.5916  1 Sm 2.40
N 0.2578 0.0755 0.9084  1 Sm 2.40
N 0.9084 0.2578 0.0755  1 Sm 2.40
N 0.0755 0.9084 0.2578  1 Sm 2.40
N 0.4084 0.5755 0.7578  1 Sm 2.40
N 0.7578 0.4084 0.5755  1 Sm 2.40
N 0.5755 0.7578 0.4084  1 Sm 2.40



VASP calculation (GGA-PBE) on NaAsSe2 after structural relaxation.

Output
- formation energy (eV per formula unit) = -2.3
- calculated total energy (eV/atom) = -3.576
- magnetic moment (μB/cell) = 0.000

Cell: 4.0010 4.0010 5.5684 Å, 90.00 90.00 90.00°
Closest atoms and distances in Å follow each position.
Sites, in units of the cell vectors:
Na 0.0000 0.0000 0.0000  6 Se 2.78-2.83
As 0.5000 0.5000 0.5000  6 Se 2.78-2.83
Se 0.0000 0.0000 0.5000  2 Na 2.78, 4 As 2.83
Se 0.5000 0.5000 0.0000  2 As 2.78, 4 Na 2.83



VASP calculation (GGA-PBE) on Li26B72O3 after structural relaxation.

Output
- formation energy (eV per formula unit) = -30.9
- calculated total energy (eV/atom) = -5.686
- magnetic moment (μB/cell) = 0.025

Cell: 8.2184 8.2194 16.4735 Å, 90.00 90.05 119.99°
Closest atoms and distances in Å follow each position.
Sites, in units of the cell vectors:
Li 0.7606 0.7955 0.2562  1 O 1.95
Li 0.3603 0.7113 0.9999  2 B 2.28-2.31, 1 Li 2.39
Li 0.3424 0.6845 0.2487  15 B 2.45-2.74
Li 0.3469 0.6737 0.4990  13 B 2.44-2.69
Li 0.3466 0.6726 0.7519  13 B 2.44-2.70
Li 0.0402 0.8023 0.2301  1 O 1.92
Li 0.8489 0.7371 0.5009  1 O 1.96
Li 0.8464 0.7361 0.7516  1 O 1.97
Li 0.1871 0.3759 0.9970  8 B 2.29-2.43, 1 Li 2.39
Li 0.0153 0.2507 0.4980  1 O 1.95
Li 0.1471 0.2927 0.2501  1 O 1.96
Li 0.0171 0.2508 0.7499  1 O 1.96
Li 0.2718 0.2071 0.5019  1 O 1.93
Li 0.2728 0.2061 0.7465  1 O 1.94
Li 0.7007 0.3979 0.0000  8 B 2.35-2.51
Li 0.6778 0.3536 0.2475  14 B 2.46-2.73
Li 0.6767 0.3411 0.4983  17 B 2.48-2.77
Li 0.7940 0.1057 0.0021  4 B 2.25-2.38
Li 0.6769 0.3412 0.7526  16 B 2.47-2.74
Li 0.7527 0.9559 0.4969  1 O 1.94
Li 0.8283 0.1031 0.2431  1 O 1.94
Li 0.7525 0.9567 0.7546  1 O 1.95
Li 0.3200 0.1156 0.9984  4 B 2.25-2.34
Li 0.2770 0.1043 0.2568  1 O 1.95
Li 0.1687 0.8931 0.4969  1 O 1.97
Li 0.1675 0.8912 0.7534  1 O 1.96
B 0.5046 0.0101 0.2004  5 B 1.66-1.77
B 0.5049 0.0103 0.4503  5 B 1.66-1.77
B 0.5040 0.0088 0.0515  5 B 1.69-1.78
B 0.5521 0.8827 0.1265  5 B 1.69-1.82
B 0.5562 0.8896 0.3748  5 B 1.69-1.81
B 0.5598 0.8959 0.6256  5 B 1.69-1.82
B 0.5558 0.8892 0.8750  5 B 1.69-1.81
B 0.5523 0.6772 0.1262  5 B 1.69-1.82
B 0.5555 0.6836 0.3754  5 B 1.69-1.81
B 0.5629 0.6924 0.6257  5 B 1.69-1.82
B 0.5584 0.6849 0.8749  5 B 1.69-1.82
B 0.3305 0.8820 0.1262  5 B 1.69-1.82
B 0.3357 0.8899 0.3740  5 B 1.69-1.81
B 0.3383 0.8966 0.6254  5 B 1.68-1.82
B 0.3353 0.8892 0.8759  5 B 1.69-1.81
B 0.5143 0.5170 0.4507  5 B 1.65-1.76
B 0.5155 0.5193 0.6997  5 B 1.65-1.77
B 0.5032 0.5082 0.0508  5 B 1.67-1.78
B 0.5174 0.5214 0.5508  5 B 1.65-1.77
B 0.4992 0.5051 0.3015  5 B 1.66-1.78
B 0.1259 0.6749 0.1248  5 B 1.69-1.81
B 0.1304 0.6850 0.3732  5 B 1.69-1.82
B 0.1345 0.6911 0.6254  5 B 1.68-1.82
B 0.1297 0.6844 0.8761  5 B 1.69-1.82
B 0.3307 0.4554 0.1252  5 B 1.68-1.82
B 0.3354 0.4631 0.3788  5 B 1.69-1.81
B 0.3422 0.4705 0.6248  5 B 1.70-1.82
B 0.3366 0.4636 0.8722  5 B 1.69-1.82
B 0.1256 0.4543 0.1249  5 B 1.68-1.81
B 0.1304 0.4643 0.3774  5 B 1.69-1.82
B 0.1355 0.4702 0.6246  5 B 1.70-1.82
B 0.1307 0.4638 0.8728  5 B 1.69-1.82
B 0.0047 0.4999 0.1997  5 B 1.66-1.78
B 0.0092 0.5209 0.4498  5 B 1.66-1.77
B 0.0094 0.5116 0.9492  5 B 1.67-1.77
B 0.0124 0.5208 0.6995  5 B 1.66-1.77
B 0.0077 0.5071 0.3007  5 B 1.66-1.76
B 0.0058 0.5064 0.0503  5 B 1.67-1.77
B 0.0121 0.5229 0.5505  5 B 1.66-1.77
B 0.0091 0.5169 0.8002  5 B 1.66-1.77
B 0.8811 0.5533 0.1252  5 B 1.70-1.82
B 0.8851 0.5624 0.3731  5 B 1.69-1.82
B 0.8901 0.5687 0.6256  5 B 1.68-1.82
B 0.8854 0.5612 0.8762  5 B 1.69-1.82
B 0.6741 0.5538 0.1261  5 B 1.70-1.82
B 0.6790 0.5610 0.3735  5 B 1.69-1.81
B 0.6861 0.5691 0.6257  5 B 1.68-1.81
B 0.6795 0.5613 0.8767  5 B 1.69-1.82
B 0.8801 0.3319 0.1245  5 B 1.69-1.82
B 0.8850 0.3414 0.3770  5 B 1.69-1.82
B 0.8895 0.3472 0.6248  5 B 1.70-1.82
B 0.8857 0.3399 0.8738  5 B 1.69-1.82
B 0.4975 0.5012 0.2005  5 B 1.66-1.78
B 0.5053 0.5126 0.9494  5 B 1.67-1.77
B 0.5120 0.5145 0.8001  5 B 1.65-1.76
B 0.6734 0.1287 0.1257  5 B 1.69-1.81
B 0.6796 0.1353 0.3770  5 B 1.69-1.82
B 0.6829 0.1411 0.6253  5 B 1.70-1.82
B 0.6790 0.1344 0.8737  5 B 1.69-1.82
B 0.4520 0.3324 0.1251  5 B 1.68-1.82
B 0.4592 0.3407 0.3774  5 B 1.68-1.81
B 0.4664 0.3491 0.6249  5 B 1.68-1.81
B 0.4584 0.3407 0.8744  5 B 1.69-1.82
B 0.4585 0.1354 0.3772  5 B 1.68-1.82
B 0.4522 0.1278 0.1258  5 B 1.68-1.81
B 0.4622 0.1421 0.6251  5 B 1.68-1.82
B 0.4580 0.1349 0.8737  5 B 1.69-1.82
B 0.5076 0.0164 0.6997  5 B 1.66-1.78
B 0.5081 0.0139 0.9491  5 B 1.69-1.76
B 0.5089 0.0151 0.3012  5 B 1.66-1.77
B 0.5073 0.0149 0.5508  5 B 1.66-1.78
B 0.5047 0.0118 0.8004  5 B 1.66-1.77
O 0.0091 0.0170 0.2460  5 Li 1.92-1.96
O 0.0115 0.0111 0.4987  5 Li 1.93-1.97
O 0.0116 0.0103 0.7530  5 Li 1.94-1.97



VASP calculation (GGA-PBE) on Rb3AuBr6 after structural relaxation.

Output
- formation energy (eV per formula unit) = -13.2
- calculated total energy (eV/atom) = -2.607
- magnetic moment (μB/cell) = 1.999

Cell: 8.3472 8.3472 8.3472 Å, 60.00 60.00 60.00°
Closest atoms and distances in Å follow each position.
Sites, in units of the cell vectors:
Rb 0.7500 0.7500 0.7500  12 Br 4.18
Rb 0.2500 0.2500 0.2500  12 Br 4.18
Rb 0.5000 0.5000 0.5000  6 Br 3.24
Au 0.0000 0.0000 0.0000  6 Br 2.66
Br 0.7744 0.2256 0.2256  1 Au 2.66
Br 0.2256 0.2256 0.7744  1 Au 2.66
Br 0.2256 0.7744 0.7744  1 Au 2.66
Br 0.2256 0.7744 0.2256  1 Au 2.66
Br 0.7744 0.2256 0.7744  1 Au 2.66
Br 0.7744 0.7744 0.2256  1 Au 2.66